Entry 1:
Bi6O5F8 | GGA-PBE | optimized geometry

density: 8235 kg/m3
relative energy among the computed polymorphs: 4.68 kJ per mole of atoms
DFT formation energy: -2.274 eV per atom
calculated volume: 300 Å³ per cell

Unit cell a=4.1260 b=5.8376 c=12.4664 alpha=87.91 beta=87.69 gamma=87.75
Space group P1 (No. 1)
Symmetry-distinct sites (fractional):
Bi 0.0000 0.0000 0.0000 x1
Bi 0.0070 0.0301 0.6859 x1
Bi 0.4431 0.4355 0.4859 x1
Bi 0.4764 0.4146 0.1613 x1
Bi 0.5076 0.4469 0.8383 x1
Bi 0.9912 0.9822 0.3148 x1
O 0.0203 0.2316 0.8407 x1
O 0.4625 0.1842 0.3147 x1
O 0.5023 0.2051 0.0050 x1
O 0.5418 0.2728 0.6702 x1
O 0.9863 0.2196 0.1625 x1
F 0.0816 0.7357 0.8502 x1
F 0.3406 0.7682 0.5588 x1
F 0.4378 0.6863 0.3265 x1
F 0.5610 0.7066 0.0009 x1
F 0.6041 0.7993 0.7361 x1
F 0.9172 0.5901 0.4477 x1
F 0.9543 0.1521 0.4939 x1
F 0.9891 0.7380 0.1691 x1



Entry 2:
BaMnS2 | GGA-PBE | optimized geometry

density: 4057 kg/m3
DFT formation energy: -1.586 eV per atom
calculated volume: 420 Å³ per cell

Unit cell a=7.1949 b=4.1601 c=14.0244 alpha=90.00 beta=90.00 gamma=90.00
Space group Pnma (No. 62)
Symmetry-distinct sites (fractional):
Ba 0.2068 0.2500 0.1284 x4
Mn 0.2317 0.7500 0.3639 x4
S 0.0312 0.2500 0.7412 x4
S 0.2377 0.7500 0.9521 x4